A geometry-optimized CaLa8Se12 structure. Source: the Materials Project database, functional GGA-PBE.

Lattice parameters (Å, degrees): 9.104 9.104 15.056 72.46 72.46 89.99
Fractional positions:
Se (0.068, 0.215, 0.217)
Se (0.399, 0.546, 0.551)
Se (0.051, 0.403, 0.551)
Se (0.546, 0.399, 0.051)
Se (0.949, 0.451, 0.949)
Se (0.432, 0.433, 0.282)
Se (0.886, 0.733, 0.382)
Se (0.732, 0.380, 0.384)
Se (0.403, 0.051, 0.051)
Se (0.451, 0.949, 0.449)
Se (0.433, 0.432, 0.782)
Se (0.781, 0.284, 0.785)
Se (0.067, 0.718, 0.717)
Se (0.284, 0.781, 0.285)
Se (0.733, 0.886, 0.882)
Se (0.380, 0.732, 0.884)
Se (0.113, 0.619, 0.118)
Se (0.762, 0.765, 0.118)
Se (0.098, 0.099, 0.453)
Se (0.099, 0.098, 0.953)
Se (0.619, 0.113, 0.618)
Se (0.215, 0.068, 0.717)
Se (0.765, 0.762, 0.618)
Se (0.718, 0.067, 0.217)
La (0.584, 0.706, 0.334)
La (0.081, 0.455, 0.334)
La (0.248, 0.372, 0.000)
La (0.039, 0.793, 0.915)
La (0.793, 0.039, 0.415)
La (0.455, 0.709, 0.083)
La (0.790, 0.416, 0.166)
La (0.750, 0.122, 0.001)
La (0.375, 0.122, 0.251)
La (0.416, 0.790, 0.666)
La (0.706, 0.584, 0.834)
La (0.122, 0.750, 0.501)
La (0.372, 0.248, 0.500)
La (0.709, 0.455, 0.583)
La (0.122, 0.375, 0.751)
La (0.455, 0.081, 0.834)
Ca (0.920, 0.044, 0.666)
Ca (0.044, 0.920, 0.166)

Summary:
The value obtained for the energy above the most stable polymorph in this dataset is 0.000 eV/atom. As for the volume: 26.87 A^3/atom. For the size of the total moment, the calculation gives 0.52 μB/f.u. Its calculated total energy is -6.059 eV per atom. As for the space group: Cc, No. 9.

---

A geometry-optimized CaLaSi4 structure. Source: the Materials Project database, functional GGA-PBE.

Lattice parameters (Å, degrees): 7.410 7.410 7.410 145.68 145.68 49.32
Fractional positions:
Si (0.586, 0.586, 0.000)
Si (0.414, 0.414, 0.000)
Si (0.664, 0.164, 0.500)
Si (0.836, 0.336, 0.500)
La (0.000, 0.000, 0.000)
Ca (0.250, 0.750, 0.500)

Summary:
As for the volume: 21.46 A^3/atom. Its calculated total energy is -5.290 eV per atom. As for the space group: I-4m2, No. 119.

---

A geometry-optimized CaLa2Te4 structure. Source: the Materials Project database, functional GGA-PBE.

Lattice parameters (Å, degrees): 8.383 8.383 8.383 109.79 109.79 108.84
Fractional positions:
Te (0.271, 0.023, 0.397)
Te (0.773, 0.521, 0.897)
Te (0.626, 0.874, 0.603)
Te (0.977, 0.374, 0.247)
Te (0.124, 0.227, 0.747)
Te (0.479, 0.376, 0.253)
Te (0.126, 0.729, 0.753)
Te (0.624, 0.876, 0.103)
La (0.248, 0.625, 0.123)
La (0.502, 0.125, 0.877)
La (0.375, 0.498, 0.623)
La (0.875, 0.752, 0.377)
Ca (0.750, 0.250, 0.500)
Ca (0.000, 0.000, 0.000)

Summary:
As for the volume: 32.39 A^3/atom. Its calculated total energy is -5.097 eV per atom. As for the space group: I-42d, No. 122.

---

A geometry-optimized CaLaZn2 structure. Source: the Materials Project database, functional GGA-PBE.

Lattice parameters (Å, degrees): 5.269 5.269 5.269 60.00 60.00 60.00
Fractional positions:
Zn (0.250, 0.250, 0.250)
Zn (0.750, 0.750, 0.750)
Ca (0.000, 0.000, 0.000)
La (0.500, 0.500, 0.500)

Summary:
As for the volume: 25.86 A^3/atom. Its calculated total energy is -2.681 eV per atom. As for the space group: Fm-3m, No. 225.

---

no.,E_form (eV/atom)
1,-2.355
2,-0.469
3,-1.845
4,-0.316